[1]
Pm2HgGe after structural relaxation. Source: the Materials Project database, functional r²SCAN.

Cell lengths 5.251, 5.251, 5.251 Å; angles 60.00, 60.00, 60.00 degrees
Fractional coordinates of all 4 atoms:
Pm1 0.250 0.250 0.250
Pm2 0.750 0.750 0.750
Hg1 0.000 0.000 0.000
Ge1 0.500 0.500 0.500

Results
formation enthalpy at 0 K = -0.667 eV per atom
energy = -125.0 eV per formula unit
spin magnetization = 0.00 μB per formula unit
symmetry = Fm-3m, No. 225

[2]
Th2Al2C3 after structural relaxation. Source: the Materials Project database, functional r²SCAN.

Cell lengths 5.434, 11.589, 3.508 Å; angles 90.00, 90.00, 90.00 degrees
Fractional coordinates of all 14 atoms:
Th1 0.177 0.149 0.000
Th2 0.323 0.649 0.500
Th3 0.677 0.351 0.500
Th4 0.823 0.851 0.000
Al1 0.186 0.415 0.000
Al2 0.314 0.915 0.500
Al3 0.686 0.085 0.500
Al4 0.814 0.585 0.000
C1 0.000 0.000 0.500
C2 0.169 0.312 0.500
C3 0.331 0.812 0.000
C4 0.500 0.500 0.000
C5 0.669 0.188 0.000
C6 0.831 0.688 0.500

Results
formation enthalpy at 0 K = -0.469 eV per atom
energy = -193.5 eV per formula unit
spin magnetization = 0.00 μB per formula unit
symmetry = Pnnm, No. 58

[3]
CsReO4 after structural relaxation. Source: the Materials Project database, functional r²SCAN.

Cell lengths 5.687, 6.050, 14.242 Å; angles 90.00, 90.00, 90.00 degrees
Fractional coordinates of all 24 atoms:
Cs1 0.028 0.250 0.128
Cs2 0.472 0.750 0.628
Cs3 0.528 0.250 0.372
Cs4 0.972 0.750 0.872
Re1 0.047 0.750 0.381
Re2 0.453 0.250 0.881
Re3 0.547 0.750 0.119
Re4 0.953 0.250 0.619
O1 0.016 0.015 0.685
O2 0.016 0.485 0.685
O3 0.122 0.250 0.517
O4 0.155 0.250 0.911
O5 0.345 0.750 0.411
O6 0.378 0.750 0.017
O7 0.484 0.515 0.185
O8 0.484 0.985 0.185
O9 0.516 0.015 0.815
O10 0.516 0.485 0.815
O11 0.622 0.250 0.983
O12 0.655 0.250 0.589
O13 0.845 0.750 0.089
O14 0.878 0.750 0.483
O15 0.984 0.515 0.315
O16 0.984 0.985 0.315

Results
formation enthalpy at 0 K = -1.982 eV per atom
energy = -113.3 eV per formula unit
spin magnetization = 0.00 μB per formula unit
symmetry = Pnma, No. 62

[4]
ErGe after structural relaxation. Source: the Materials Project database, functional r²SCAN.

Cell lengths 5.697, 5.697, 3.917 Å; angles 90.00, 90.00, 136.63 degrees
Fractional coordinates of all 4 atoms:
Er1 0.138 0.862 0.750
Er2 0.862 0.138 0.250
Ge1 0.414 0.586 0.750
Ge2 0.586 0.414 0.250

Results
formation enthalpy at 0 K = -0.949 eV per atom
energy = -49.7 eV per formula unit
spin magnetization = 0.00 μB per formula unit
symmetry = Cmcm, No. 63

[5]
HoCrO3 after structural relaxation. Source: the Materials Project database, functional r²SCAN.

Cell lengths 5.529, 7.527, 5.211 Å; angles 90.00, 90.00, 90.00 degrees
Fractional coordinates of all 20 atoms:
Ho1 0.070 0.250 0.020
Ho2 0.430 0.750 0.520
Ho3 0.570 0.250 0.480
Ho4 0.930 0.750 0.980
Cr1 0.000 0.000 0.500
Cr2 0.000 0.500 0.500
Cr3 0.500 0.000 0.000
Cr4 0.500 0.500 0.000
O1 0.039 0.750 0.388
O2 0.196 0.557 0.809
O3 0.196 0.943 0.809
O4 0.304 0.057 0.309
O5 0.304 0.443 0.309
O6 0.461 0.250 0.888
O7 0.539 0.750 0.112
O8 0.696 0.557 0.691
O9 0.696 0.943 0.691
O10 0.804 0.057 0.191
O11 0.804 0.443 0.191
O12 0.961 0.250 0.612

Results
formation enthalpy at 0 K = -3.244 eV per atom
energy = -82.1 eV per formula unit
spin magnetization = 3.00 μB per formula unit
symmetry = Pnma, No. 62

[6]
MnO2 after structural relaxation. Source: the Materials Project database, functional r²SCAN.

Cell lengths 5.685, 5.685, 5.685 Å; angles 60.00, 60.00, 60.00 degrees
Fractional coordinates of all 12 atoms:
Mn1 0.000 0.000 0.000
Mn2 0.000 0.000 0.500
Mn3 0.000 0.500 0.000
Mn4 0.500 0.000 0.000
O1 0.208 0.764 0.764
O2 0.236 0.236 0.236
O3 0.236 0.236 0.792
O4 0.236 0.792 0.236
O5 0.764 0.208 0.764
O6 0.764 0.764 0.208
O7 0.764 0.764 0.764
O8 0.792 0.236 0.236

Results
formation enthalpy at 0 K = -1.959 eV per atom
energy = -32.5 eV per formula unit
spin magnetization = 3.00 μB per formula unit
symmetry = Fd-3m, No. 227